Record 1
LiSiBiO4 PBE relaxed; energy relative to the lowest polymorph listed for this composition = 0.28 eV per formula unit; MP2020-corrected energy = -6.92 eV/atom
1.0
2.567 -4.447 0.000
2.567 4.447 0.000
0.000 0.000 8.753
Li Si Bi O
2 2 2 8
direct
0.333 0.667 0.055
0.667 0.333 0.555
0.333 0.667 0.454
0.667 0.333 0.954
0.000 0.000 0.175
0.000 0.000 0.675
0.048 0.698 0.519
0.333 0.667 0.270
0.651 0.952 0.519
0.302 0.349 0.519
0.349 0.302 0.019
0.667 0.333 0.770
0.698 0.048 0.019
0.952 0.651 0.019

---

Record 2
Below is a relaxed EuIn6Ni7 crystal, with properties calculated at the PBE level.

Structure (POSCAR):
```
EuIn6Ni7
1.0
-4.057 4.674 6.268
4.057 -4.674 6.268
4.057 4.674 -6.268
Eu In Ni
2 12 14
direct
0.250 0.750 0.500
0.750 0.250 0.500
0.045 0.323 0.368
0.955 0.677 0.632
0.545 0.177 0.722
0.455 0.823 0.278
0.552 0.535 0.368
0.448 0.465 0.632
0.168 0.184 0.632
0.332 0.965 0.016
0.832 0.816 0.368
0.668 0.035 0.984
0.948 0.316 0.984
0.052 0.684 0.016
0.260 0.074 0.333
0.740 0.926 0.667
0.760 0.426 0.186
0.240 0.574 0.814
0.259 0.293 0.209
0.741 0.707 0.791
0.083 0.050 0.791
0.417 0.207 0.966
0.917 0.950 0.209
0.583 0.793 0.034
0.241 0.450 0.034
0.759 0.550 0.966
0.000 0.000 0.000
0.500 0.500 0.000
```

---

Record 3
MnCu2SiSe4 PBE relaxed; MP2020-corrected energy = -5.16 eV/atom
1.0
0.000 0.000 -6.567
0.000 -6.783 0.000
-7.944 0.000 0.000
Mn Cu Si Se
2 4 2 8
direct
0.510 0.349 0.000
0.010 0.651 0.500
0.515 0.824 0.756
0.015 0.176 0.744
0.015 0.176 0.256
0.515 0.824 0.244
0.999 0.673 0.000
0.499 0.327 0.500
0.896 0.348 0.000
0.396 0.652 0.500
0.882 0.838 0.762
0.382 0.162 0.738
0.382 0.162 0.262
0.882 0.838 0.238
0.353 0.686 0.000
0.853 0.314 0.500

---

Record 4
Zn4CN4 PBE relaxed; MP2020-corrected energy = -5.28 eV/atom
1.0
-2.741 -0.946 -9.408
0.191 -3.109 0.257
-13.283 -0.494 3.920
Zn C N
16 4 16
direct
0.100 0.250 0.171
0.600 0.250 0.329
0.900 0.750 0.829
0.400 0.750 0.671
0.883 0.250 0.021
0.383 0.250 0.479
0.117 0.750 0.979
0.617 0.750 0.521
0.392 0.250 0.862
0.892 0.250 0.638
0.608 0.750 0.138
0.108 0.750 0.362
0.154 0.250 0.792
0.654 0.250 0.708
0.846 0.750 0.208
0.346 0.750 0.292
0.368 0.250 0.057
0.868 0.250 0.443
0.632 0.750 0.943
0.132 0.750 0.557
0.717 0.250 0.217
0.217 0.250 0.283
0.283 0.750 0.783
0.783 0.750 0.717
0.003 0.250 0.893
0.503 0.250 0.607
0.997 0.750 0.107
0.497 0.750 0.393
0.272 0.250 0.998
0.772 0.250 0.502
0.728 0.750 0.002
0.228 0.750 0.498
0.464 0.250 0.113
0.964 0.250 0.387
0.536 0.750 0.887
0.036 0.750 0.613

---

Record 5
KRbMg6O7 PBE relaxed; energy relative to the lowest polymorph listed for this composition = 0.00 eV per formula unit; MP2020-corrected energy = -5.29 eV/atom
1.0
-3.729 1.306 -1.680
-0.007 -3.397 -2.626
-5.649 -6.048 7.840
K Rb Mg O
1 1 6 7
direct
0.000 0.000 0.001
0.500 0.500 0.976
0.000 0.000 0.484
0.500 0.500 0.503
0.000 0.500 0.269
0.000 0.500 0.678
0.500 0.000 0.269
0.500 0.000 0.678
0.000 0.000 0.309
0.000 0.000 0.693
0.500 0.500 0.688
0.000 0.500 0.105
0.000 0.500 0.496
0.500 0.000 0.105
0.500 0.000 0.496

---

Record 6
Mg6NbAl PBE relaxed; energy relative to the lowest polymorph listed for this composition = 0.00 eV per formula unit
1.0
-1.434 4.628 -0.389
-5.871 -1.701 1.413
2.086 1.528 10.504
Mg Nb Al
12 2 2
direct
0.000 0.258 0.086
0.000 0.742 0.086
0.000 0.500 0.833
0.500 0.246 0.918
0.500 0.754 0.918
0.500 0.500 0.666
0.000 0.758 0.586
0.000 0.242 0.586
0.000 0.000 0.333
0.500 0.746 0.418
0.500 0.254 0.418
0.500 0.000 0.166
0.500 0.500 0.175
0.500 0.000 0.675
0.000 0.500 0.318
0.000 0.000 0.818

---

Record 7
Hg3P2S8 PBE relaxed; MP2020-corrected energy = -3.89 eV/atom
1.0
-9.432 -2.093 5.346
4.520 -9.047 4.433
3.540 5.975 8.584
Hg P S
12 8 32
direct
0.128 0.413 0.280
0.372 0.587 0.780
0.872 0.913 0.220
0.280 0.128 0.413
0.628 0.087 0.720
0.780 0.372 0.587
0.220 0.872 0.913
0.720 0.628 0.087
0.413 0.280 0.128
0.913 0.220 0.872
0.087 0.720 0.628
0.587 0.780 0.372
0.414 0.414 0.414
0.086 0.586 0.914
0.586 0.914 0.086
0.914 0.086 0.586
0.134 0.134 0.134
0.366 0.866 0.634
0.866 0.634 0.366
0.634 0.366 0.866
0.518 0.518 0.518
0.982 0.482 0.018
0.482 0.018 0.982
0.018 0.982 0.482
0.026 0.026 0.026
0.474 0.974 0.526
0.974 0.526 0.474
0.526 0.474 0.974
0.013 0.228 0.242
0.487 0.772 0.742
0.987 0.728 0.258
0.242 0.013 0.228
0.513 0.272 0.758
0.742 0.487 0.772
0.258 0.987 0.728
0.758 0.513 0.272
0.228 0.242 0.013
0.728 0.258 0.987
0.272 0.758 0.513
0.772 0.742 0.487
0.025 0.207 0.683
0.475 0.793 0.183
0.975 0.707 0.817
0.683 0.025 0.207
0.525 0.293 0.317
0.183 0.475 0.793
0.817 0.975 0.707
0.317 0.525 0.293
0.207 0.683 0.025
0.707 0.817 0.975
0.293 0.317 0.525
0.793 0.183 0.475

---

Record 8
K2B10H6O19 PBE relaxed; MP2020-corrected energy = -7.42 eV/atom
1.0
-2.958 -6.055 4.022
8.446 -3.850 -0.007
1.959 8.758 7.878
K B H O
4 20 12 38
direct
0.977 0.043 0.758
0.023 0.957 0.242
0.433 0.745 0.712
0.567 0.255 0.288
0.680 0.941 0.443
0.320 0.059 0.557
0.455 0.743 0.401
0.545 0.257 0.599
0.502 0.853 0.233
0.498 0.147 0.767
0.504 0.758 0.025
0.496 0.242 0.975
0.321 0.954 0.057
0.679 0.046 0.943
0.273 0.516 0.405
0.727 0.484 0.595
0.079 0.335 0.439
0.921 0.665 0.561
0.098 0.333 0.235
0.902 0.667 0.765
0.130 0.167 0.058
0.870 0.833 0.942
0.920 0.351 0.027
0.080 0.649 0.973
0.867 0.110 0.503
0.133 0.890 0.497
0.632 0.589 0.967
0.368 0.411 0.033
0.057 0.307 0.600
0.943 0.693 0.400
0.757 0.382 0.869
0.243 0.618 0.131
0.222 0.313 0.787
0.778 0.687 0.213
0.077 0.430 0.787
0.923 0.570 0.213
0.800 0.038 0.530
0.200 0.962 0.470
0.588 0.839 0.483
0.412 0.161 0.517
0.382 0.643 0.453
0.618 0.357 0.547
0.650 0.943 0.325
0.350 0.057 0.675
0.406 0.750 0.283
0.594 0.250 0.717
0.574 0.763 0.144
0.426 0.237 0.856
0.381 0.856 0.979
0.619 0.144 0.021
0.374 0.953 0.176
0.626 0.047 0.824
0.550 0.663 0.940
0.450 0.337 0.060
0.199 0.459 0.483
0.801 0.541 0.517
0.015 0.264 0.513
0.985 0.736 0.487
0.244 0.448 0.292
0.756 0.552 0.708
0.019 0.281 0.320
0.981 0.719 0.680
0.173 0.206 0.177
0.827 0.794 0.823
0.004 0.236 0.980
0.996 0.764 0.020
0.959 0.395 0.146
0.041 0.605 0.854
0.202 0.050 0.004
0.798 0.950 0.996
0.792 0.422 0.954
0.208 0.578 0.046
0.098 0.334 0.745
0.902 0.666 0.255

---

How do the records compare in raw total energy? In the order shown, they have -6.5236; -5.0017; -4.9283; -5.1170; -4.9689; -2.8254; -3.5848; -7.0670 eV per atom.
How do the records compare in ΔE_f? In the order shown, they have -17.397; -2.795; -4.545; 0.116; -33.014; 0.845; -5.798; -91.150 eV per formula unit.